Record 1
Here is an optimized crystal structure of KEuPO4 from the Materials Project. Energies are from PBE-GGA.

Cell lengths 7.427, 5.623, 9.777 Å; angles 90.00, 90.00, 90.00 degrees
Element x y z (fractional)
K 0.158 0.250 0.082
K 0.342 0.750 0.582
K 0.658 0.250 0.418
K 0.842 0.750 0.918
Eu 0.003 0.250 0.695
Eu 0.497 0.750 0.195
Eu 0.503 0.250 0.805
Eu 0.997 0.750 0.305
P 0.225 0.250 0.415
P 0.275 0.750 0.915
P 0.725 0.250 0.085
P 0.775 0.750 0.585
O 0.016 0.250 0.427
O 0.192 0.750 0.062
O 0.214 0.522 0.837
O 0.214 0.978 0.837
O 0.286 0.022 0.337
O 0.286 0.478 0.337
O 0.308 0.250 0.562
O 0.484 0.750 0.927
O 0.516 0.250 0.073
O 0.692 0.750 0.438
O 0.714 0.522 0.663
O 0.714 0.978 0.663
O 0.786 0.022 0.163
O 0.786 0.478 0.163
O 0.808 0.250 0.938
O 0.984 0.750 0.573

Properties
The energy of formation is -3013 meV per atom. For the final energy, the calculation gives -7.845 eV/atom. The total magnetization comes out at 28.0 μB per cell. As for the symmetry: Pnma (62).

Record 2
Here is an optimized crystal structure of K3EuP2O8 from the Materials Project. Energies are from PBE-GGA.

Cell lengths 7.558, 5.749, 9.684 Å; angles 90.00, 91.23, 90.00 degrees
Element x y z (fractional)
K 0.007 0.250 0.192
K 0.142 0.750 0.411
K 0.300 0.250 0.915
K 0.700 0.750 0.085
K 0.858 0.250 0.589
K 0.993 0.750 0.808
Eu 0.494 0.750 0.710
Eu 0.506 0.250 0.290
P 0.265 0.750 0.088
P 0.309 0.250 0.572
P 0.691 0.750 0.428
P 0.735 0.250 0.912
O 0.063 0.750 0.104
O 0.215 0.250 0.427
O 0.255 0.029 0.655
O 0.255 0.471 0.655
O 0.317 0.750 0.933
O 0.346 0.528 0.158
O 0.346 0.972 0.158
O 0.489 0.750 0.453
O 0.511 0.250 0.547
O 0.654 0.028 0.842
O 0.654 0.472 0.842
O 0.683 0.250 0.067
O 0.745 0.529 0.345
O 0.745 0.971 0.345
O 0.785 0.750 0.573
O 0.937 0.250 0.896

Properties
The energy of formation is -2837 meV per atom. For the final energy, the calculation gives -7.016 eV/atom. The total magnetization comes out at 12.0 μB per cell. As for the symmetry: P2_1/m (11).

Record 3
Here is an optimized crystal structure of KEuPdO3 from the Materials Project. Energies are from PBE-GGA.

Cell lengths 6.918, 6.918, 7.629 Å; angles 104.18, 104.18, 33.47 degrees
Element x y z (fractional)
K 0.145 0.145 0.065
K 0.855 0.855 0.935
Eu 0.151 0.151 0.576
Eu 0.849 0.849 0.424
Pd 0.493 0.493 0.719
Pd 0.507 0.507 0.281
O 0.006 0.006 0.316
O 0.330 0.330 0.630
O 0.348 0.348 0.228
O 0.652 0.652 0.772
O 0.670 0.670 0.370
O 0.994 0.994 0.684

Properties
The energy of formation is -2029 meV per atom. For the final energy, the calculation gives -6.917 eV/atom. The total magnetization comes out at 12.0 μB per cell. As for the symmetry: C2/m (12).

Question: What is the formula in the second record?
Answer: K3EuP2O8

Question: Look up the energy of formation of the third one.
Answer: -2029 meV per atom

Question: Among the records above, which one has the lowest final energy?
Answer: KEuPO4